# 1
Computed, not measured: V2S5 after structural relaxation at the PBE-GGA level of DFT.

abc: 4.334 13.866 6.511
angles: 90.00 90.00 90.00
Sites, in units of the cell vectors:
V 0.250 0.100 0.099
V 0.250 0.400 0.099
V 0.750 0.600 0.901
V 0.750 0.900 0.901
S 0.250 0.108 0.409
S 0.250 0.250 0.966
S 0.250 0.392 0.409
S 0.250 0.570 0.025
S 0.250 0.930 0.025
S 0.750 0.070 0.975
S 0.750 0.430 0.975
S 0.750 0.608 0.591
S 0.750 0.750 0.034
S 0.750 0.892 0.591

DFT formation energy ... -859 meV/atom
Symmetry ... Pmmn, No. 59
ρ ... 2.23 Mg/m³
Crystal system ... orthorhombic

# 2
Computed, not measured: Na2YNb3Si2P4O24 after structural relaxation at the PBE-GGA level of DFT.

abc: 8.929 8.933 23.134
angles: 89.90 89.96 60.02
Sites, in units of the cell vectors:
Na 0.000 0.000 0.000
Na 0.003 0.000 0.495
Na 0.329 0.336 0.163
Na 0.335 0.335 0.666
Na 0.666 0.664 0.831
Na 0.669 0.663 0.326
Y 0.002 0.998 0.356
Y 0.665 0.663 0.686
Y 0.670 0.663 0.181
Nb 0.000 0.998 0.857
Nb 0.001 0.995 0.144
Nb 0.003 0.996 0.643
Nb 0.332 0.331 0.519
Nb 0.332 0.334 0.016
Nb 0.334 0.327 0.309
Nb 0.334 0.332 0.812
Nb 0.659 0.669 0.477
Nb 0.671 0.667 0.976
Si 0.045 0.334 0.914
Si 0.338 0.617 0.914
Si 0.339 0.042 0.416
Si 0.374 0.664 0.582
Si 0.618 0.044 0.915
Si 0.964 0.664 0.081
P 0.004 0.287 0.249
P 0.008 0.711 0.750
P 0.045 0.610 0.416
P 0.279 0.007 0.750
P 0.289 0.703 0.249
P 0.371 0.961 0.079
P 0.612 0.340 0.416
P 0.668 0.369 0.080
P 0.668 0.957 0.580
P 0.706 0.004 0.249
P 0.714 0.277 0.750
P 0.958 0.373 0.581
O 0.023 0.788 0.416
O 0.024 0.164 0.905
O 0.024 0.804 0.694
O 0.028 0.172 0.194
O 0.136 0.501 0.361
O 0.137 0.364 0.857
O 0.144 0.339 0.570
O 0.156 0.516 0.470
O 0.158 0.501 0.069
O 0.166 0.808 0.905
O 0.168 0.301 0.970
O 0.170 0.023 0.694
O 0.172 0.801 0.194
O 0.175 0.018 0.419
O 0.177 0.298 0.254
O 0.177 0.532 0.753
O 0.181 0.841 0.590
O 0.183 0.993 0.803
O 0.187 0.980 0.087
O 0.207 0.807 0.303
O 0.290 0.176 0.753
O 0.295 0.524 0.254
O 0.303 0.528 0.970
O 0.330 0.159 0.471
O 0.339 0.504 0.569
O 0.346 0.143 0.069
O 0.362 0.139 0.358
O 0.365 0.496 0.857
O 0.458 0.848 0.748
O 0.461 0.840 0.027
O 0.470 0.673 0.242
O 0.473 0.695 0.525
O 0.474 0.894 0.134
O 0.484 0.623 0.639
O 0.498 0.136 0.857
O 0.503 0.365 0.361
O 0.506 0.638 0.924
O 0.514 0.142 0.569
O 0.514 0.337 0.069
O 0.515 0.329 0.470
O 0.521 0.853 0.423
O 0.526 0.180 0.254
O 0.532 0.164 0.970
O 0.533 0.290 0.754
O 0.627 0.473 0.134
O 0.630 0.505 0.423
O 0.630 0.890 0.635
O 0.637 0.854 0.923
O 0.671 0.856 0.242
O 0.694 0.462 0.027
O 0.698 0.455 0.749
O 0.698 0.838 0.527
O 0.788 0.180 0.416
O 0.802 0.025 0.194
O 0.804 0.170 0.694
O 0.807 0.982 0.303
O 0.811 0.020 0.905
O 0.823 0.180 0.803
O 0.832 0.977 0.588
O 0.834 0.694 0.025
O 0.836 0.188 0.088
O 0.841 0.463 0.527
O 0.848 0.694 0.748
O 0.853 0.469 0.244
O 0.854 0.503 0.924
O 0.867 0.619 0.423
O 0.894 0.478 0.635
O 0.898 0.622 0.138
O 0.974 0.190 0.589
O 0.980 0.842 0.089
O 0.986 0.205 0.303
O 0.995 0.821 0.803

DFT formation energy ... -3005 meV/atom
Symmetry ... P1, No. 1
ρ ... 3.05 Mg/m³
Crystal system ... triclinic

# 3
Computed, not measured: Er2IrRu after structural relaxation at the PBE-GGA level of DFT.

abc: 4.781 4.781 4.781
angles: 60.00 60.00 60.00
Sites, in units of the cell vectors:
Er 0.250 0.250 0.250
Er 0.750 0.750 0.750
Ir 0.000 0.000 0.000
Ru 0.500 0.500 0.500

DFT formation energy ... -686 meV/atom
Symmetry ... Fm-3m, No. 225
ρ ... 13.49 Mg/m³
Crystal system ... cubic

# 4
Computed, not measured: Na7Ti4Si5PO24 after structural relaxation at the PBE-GGA level of DFT.

abc: 8.936 8.937 22.156
angles: 89.91 89.89 60.01
Sites, in units of the cell vectors:
Na 0.000 0.000 0.000
Na 0.000 0.367 0.500
Na 0.033 0.298 0.166
Na 0.034 0.033 0.667
Na 0.035 0.658 0.915
Na 0.040 0.659 0.416
Na 0.069 0.964 0.333
Na 0.333 0.702 0.833
Na 0.362 0.005 0.751
Na 0.365 0.632 0.500
Na 0.366 0.367 0.000
Na 0.372 0.005 0.250
Na 0.400 0.669 0.167
Na 0.401 0.297 0.666
Na 0.665 0.667 0.667
Na 0.698 0.701 0.333
Na 0.701 0.326 0.084
Na 0.701 0.331 0.583
Na 0.701 0.964 0.833
Na 0.735 0.631 0.000
Na 0.735 0.999 0.500
Ti 0.026 0.672 0.064
Ti 0.033 0.666 0.565
Ti 0.034 0.655 0.768
Ti 0.038 0.661 0.268
Ti 0.362 0.004 0.398
Ti 0.367 0.005 0.898
Ti 0.368 0.999 0.602
Ti 0.372 0.994 0.102
Ti 0.694 0.336 0.731
Ti 0.696 0.340 0.935
Ti 0.696 0.341 0.435
Ti 0.707 0.331 0.231
Si 0.029 0.958 0.167
Si 0.033 0.374 0.666
Si 0.076 0.000 0.500
Si 0.077 0.289 0.001
Si 0.322 0.667 0.667
Si 0.366 0.710 0.999
Si 0.367 0.289 0.500
Si 0.406 0.333 0.834
Si 0.408 0.621 0.333
Si 0.656 0.000 0.000
Si 0.657 0.711 0.499
Si 0.703 0.622 0.833
Si 0.741 0.671 0.167
Si 0.744 0.956 0.667
Si 0.994 0.333 0.334
P 0.324 0.376 0.166
P 0.697 0.047 0.333
P 0.989 0.046 0.833
O 0.002 0.510 0.327
O 0.005 0.862 0.107
O 0.006 0.865 0.828
O 0.059 0.826 0.506
O 0.060 0.479 0.007
O 0.067 0.830 0.225
O 0.069 0.469 0.723
O 0.166 0.035 0.559
O 0.166 0.164 0.060
O 0.173 0.022 0.839
O 0.180 0.156 0.339
O 0.195 0.480 0.506
O 0.196 0.688 0.007
O 0.198 0.702 0.726
O 0.202 0.963 0.441
O 0.203 0.465 0.221
O 0.203 0.977 0.161
O 0.206 0.185 0.661
O 0.208 0.194 0.943
O 0.214 0.648 0.327
O 0.222 0.512 0.827
O 0.234 0.630 0.608
O 0.241 0.492 0.110
O 0.331 0.835 0.941
O 0.332 0.194 0.443
O 0.335 0.199 0.161
O 0.342 0.838 0.661
O 0.394 0.811 0.339
O 0.397 0.156 0.840
O 0.403 0.165 0.559
O 0.403 0.798 0.058
O 0.501 0.363 0.174
O 0.502 0.364 0.892
O 0.502 0.500 0.392
O 0.514 0.493 0.673
O 0.526 0.036 0.057
O 0.527 0.812 0.839
O 0.532 0.798 0.559
O 0.534 0.298 0.775
O 0.536 0.528 0.274
O 0.539 0.021 0.339
O 0.539 0.518 0.994
O 0.540 0.306 0.493
O 0.548 0.838 0.161
O 0.553 0.974 0.661
O 0.567 0.835 0.441
O 0.569 0.962 0.941
O 0.669 0.529 0.775
O 0.673 0.162 0.278
O 0.675 0.519 0.494
O 0.678 0.170 0.993
O 0.723 0.496 0.173
O 0.726 0.146 0.673
O 0.730 0.501 0.893
O 0.732 0.127 0.390
O 0.834 0.831 0.726
O 0.839 0.694 0.226
O 0.847 0.827 0.006
O 0.848 0.690 0.506
O 0.860 0.151 0.173
O 0.862 0.356 0.674
O 0.862 0.865 0.327
O 0.866 0.365 0.392
O 0.869 0.631 0.108
O 0.869 0.866 0.608
O 0.870 0.650 0.827
O 0.873 0.130 0.890
O 0.885 0.171 0.493
O 0.887 0.306 0.993
O 0.901 0.298 0.275
O 0.903 0.158 0.776
O 0.997 0.500 0.607

DFT formation energy ... -3017 meV/atom
Symmetry ... P1, No. 1
ρ ... 2.95 Mg/m³
Crystal system ... triclinic

# 5
Computed, not measured: Mg6NbB after structural relaxation at the PBE-GGA level of DFT.

abc: 4.572 6.408 10.741
angles: 90.00 90.00 90.00
Sites, in units of the cell vectors:
Mg 0.000 0.264 0.082
Mg 0.000 0.736 0.082
Mg 0.000 0.500 0.829
Mg 0.500 0.244 0.901
Mg 0.500 0.756 0.901
Mg 0.500 0.500 0.660
Mg 0.000 0.764 0.582
Mg 0.000 0.236 0.582
Mg 0.000 0.000 0.329
Mg 0.500 0.744 0.401
Mg 0.500 0.256 0.401
Mg 0.500 0.000 0.160
Nb 0.000 0.500 0.314
Nb 0.000 0.000 0.814
B 0.500 0.500 0.231
B 0.500 0.000 0.731

E above lowest polymorph ... 0 meV per atom
DFT formation energy ... 364 meV/atom
ρ ... 2.63 Mg/m³

# 6
Computed, not measured: Ti2Bi after structural relaxation at the PBE-GGA level of DFT.

abc: 7.662 7.662 7.662
angles: 147.90 147.90 46.03
Sites, in units of the cell vectors:
Ti 0.000 0.500 0.500
Ti 0.137 0.137 0.000
Ti 0.500 0.000 0.500
Ti 0.863 0.863 0.000
Bi 0.349 0.349 0.000
Bi 0.651 0.651 0.000

DFT formation energy ... -132 meV/atom
Symmetry ... I4/mmm, No. 139
ρ ... 8.00 Mg/m³
Crystal system ... tetragonal

# 7
Computed, not measured: AgSO3F after structural relaxation at the PBE-GGA level of DFT.

abc: 5.487 8.329 7.826
angles: 90.00 94.35 90.00
Sites, in units of the cell vectors:
Ag 0.210 0.000 0.204
Ag 0.211 0.527 0.212
Ag 0.789 0.027 0.788
Ag 0.790 0.500 0.796
S 0.272 0.281 0.652
S 0.317 0.765 0.825
S 0.683 0.265 0.175
S 0.728 0.781 0.348
O 0.059 0.263 0.752
O 0.211 0.617 0.885
O 0.214 0.913 0.886
O 0.260 0.411 0.529
O 0.415 0.264 0.172
O 0.493 0.763 0.248
O 0.507 0.263 0.752
O 0.585 0.764 0.828
O 0.740 0.911 0.471
O 0.786 0.413 0.114
O 0.789 0.117 0.115
O 0.941 0.763 0.248
F 0.234 0.766 0.623
F 0.260 0.118 0.535
F 0.740 0.618 0.465
F 0.766 0.266 0.377

DFT formation energy ... -1593 meV/atom
Symmetry ... P2_1, No. 4
ρ ... 3.85 Mg/m³
Crystal system ... monoclinic

# 8
Computed, not measured: Li5Sn5P6O24 after structural relaxation at the PBE-GGA level of DFT.

abc: 9.155 9.156 9.277
angles: 61.64 61.45 60.09
Sites, in units of the cell vectors:
Li 0.000 0.000 0.000
Li 0.004 0.477 0.573
Li 0.319 0.145 0.008
Li 0.335 0.014 0.794
Li 0.446 0.678 0.010
Sn 0.150 0.861 0.311
Sn 0.481 0.159 0.326
Sn 0.640 0.328 0.835
Sn 0.785 0.481 0.393
Sn 0.984 0.672 0.820
P 0.073 0.067 0.619
P 0.165 0.589 0.134
P 0.382 0.390 0.616
P 0.577 0.857 0.114
P 0.698 0.757 0.620
P 0.905 0.273 0.095
O 0.014 0.912 0.666
O 0.058 0.513 0.323
O 0.087 0.605 0.008
O 0.091 0.117 0.094
O 0.132 0.041 0.762
O 0.151 0.777 0.109
O 0.211 0.088 0.440
O 0.219 0.561 0.653
O 0.362 0.223 0.769
O 0.366 0.477 0.089
O 0.400 0.386 0.446
O 0.414 0.850 0.102
O 0.528 0.055 0.086
O 0.536 0.799 0.774
O 0.551 0.414 0.601
O 0.597 0.737 0.293
O 0.690 0.900 0.446
O 0.731 0.570 0.616
O 0.742 0.800 0.965
O 0.795 0.205 0.072
O 0.817 0.309 0.268
O 0.880 0.711 0.641
O 0.899 0.242 0.616
O 0.936 0.435 0.935

DFT formation energy ... -2407 meV/atom
Symmetry ... P1, No. 1
ρ ... 3.54 Mg/m³
Crystal system ... triclinic